# 1
Below is a relaxed Mn3ZnO10 crystal, with properties calculated at the PBE+U level.

Computed properties:
calculated density	3.15	g/cm³
energy with MP2020 corrections	-6.7095	eV per atom
offset from the most stable computed form	5	meV/atom
energy relative to the elements	-1.12	eV per atom
final energy	-6.2371	eV/atom

Geometry as POSCAR:
```
Mn3ZnO10
1.0
3.8805 2.2404 7.8802
-3.8805 2.2404 7.8802
0.0000 -4.4808 7.8802
Mn Zn O
6 2 20
Direct
0.0704 0.7821 0.6481
0.2179 0.3519 0.9296
0.3519 0.9296 0.2179
0.6481 0.0704 0.7821
0.7821 0.6481 0.0704
0.9296 0.2179 0.3519
0.4365 0.4365 0.4365
0.5635 0.5635 0.5635
0.0692 0.6305 0.9233
0.0767 0.9308 0.3695
0.0790 0.5109 0.4126
0.1892 0.5060 0.6702
0.2068 0.2068 0.2068
0.3298 0.8108 0.4941
0.3695 0.0767 0.9308
0.4126 0.0790 0.5109
0.4891 0.5874 0.9210
0.4941 0.3298 0.8108
0.5059 0.6702 0.1892
0.5109 0.4126 0.0790
0.5874 0.9210 0.4891
0.6305 0.9233 0.0692
0.6702 0.1892 0.5059
0.7932 0.7932 0.7932
0.8108 0.4941 0.3298
0.9210 0.4891 0.5874
0.9233 0.0692 0.6305
0.9308 0.3695 0.0767
```



# 2
Below is a relaxed MnZnO2 crystal, with properties calculated at the PBE+U level.

Computed properties:
calculated density	5.36	g/cm³
energy with MP2020 corrections	-6.7186	eV per atom
energy relative to the elements	-1.64	eV per atom
final energy	-5.9581	eV/atom

Geometry as POSCAR:
```
MnZnO2
1.0
7.9407 -1.4963 0.0000
7.9407 1.4963 0.0000
-5.8042 0.0000 7.9383
Mn Zn O
4 4 8
Direct
0.1295 0.1295 0.4526
0.3427 0.3427 0.1759
0.6573 0.6573 0.8241
0.8705 0.8705 0.5474
0.1851 0.1851 0.2088
0.4873 0.4873 0.1134
0.5127 0.5127 0.8866
0.8149 0.8149 0.7912
0.0358 0.0358 0.7709
0.2911 0.2911 0.9127
0.3466 0.3466 0.6725
0.3536 0.3536 0.3982
0.6464 0.6464 0.6018
0.6534 0.6534 0.3275
0.7089 0.7089 0.0873
0.9642 0.9642 0.2291
```



# 3
Below is a relaxed Mn3ZnO10 crystal, with properties calculated at the PBE+U level.

Computed properties:
calculated density	3.31	g/cm³
energy with MP2020 corrections	-6.7148	eV per atom
offset from the most stable computed form	0	meV/atom
energy relative to the elements	-1.13	eV per atom
final energy	-6.2424	eV/atom

Geometry as POSCAR:
```
Mn3ZnO10
1.0
7.7400 0.0000 0.0000
3.8431 6.7201 0.0000
3.5100 1.8577 7.5237
Mn Zn O
6 2 20
Direct
0.0737 0.2866 0.4961
0.2147 0.8576 0.5013
0.3580 0.4295 0.4965
0.6420 0.5705 0.5035
0.7853 0.1424 0.4987
0.9263 0.7134 0.5039
0.4395 0.9386 0.7050
0.5605 0.0614 0.2950
0.0269 0.8510 0.0156
0.0678 0.1302 0.3694
0.0834 0.4372 0.6269
0.1971 0.0174 0.6374
0.2046 0.7042 0.3739
0.2120 0.7367 0.9939
0.3346 0.3086 0.3500
0.3623 0.5848 0.6298
0.4919 0.9254 0.9991
0.4928 0.8291 0.3637
0.5072 0.1709 0.6363
0.5081 0.0746 0.0009
0.6377 0.4152 0.3702
0.6654 0.6914 0.6500
0.7880 0.2633 0.0061
0.7954 0.2958 0.6261
0.8029 0.9826 0.3626
0.9166 0.5628 0.3731
0.9322 0.8698 0.6306
0.9731 0.1490 0.9844
```



# 4
Below is a relaxed MnZnO3 crystal, with properties calculated at the PBE+U level.

Computed properties:
calculated density	5.73	g/cm³
energy with MP2020 corrections	-6.7742	eV per atom
energy relative to the elements	-1.72	eV per atom
final energy	-6.0284	eV/atom

Geometry as POSCAR:
```
MnZnO3
1.0
5.1882 0.0000 0.0000
0.0000 7.4055 0.0000
0.0000 0.0000 5.0778
Mn Zn O
4 4 12
Direct
0.0000 0.0000 0.0000
0.0000 0.5000 0.0000
0.5000 0.0000 0.5000
0.5000 0.5000 0.5000
0.0481 0.2500 0.4912
0.4519 0.7500 0.9912
0.5481 0.2500 0.0088
0.9519 0.7500 0.5088
0.0621 0.7500 0.1201
0.1895 0.5644 0.6848
0.1895 0.9356 0.6848
0.3105 0.0644 0.1848
0.3105 0.4356 0.1848
0.4379 0.2500 0.6201
0.5621 0.7500 0.3799
0.6895 0.5644 0.8152
0.6895 0.9356 0.8152
0.8105 0.0644 0.3152
0.8105 0.4356 0.3152
0.9379 0.2500 0.8799
```